P | # VSi2O6

An optimized crystal structure of VSi2O6 (GGA+U, the Materials Project).

Unit cell a=5.367 b=8.736 c=9.326 alpha=90.87 beta=103.37 gamma=90.71
Fractional coordinates of all 36 atoms:
V 0.006 0.352 0.249
V 0.493 0.148 0.251
V 0.507 0.852 0.749
V 0.994 0.648 0.751
Si 0.200 0.338 0.950
Si 0.201 0.668 0.453
Si 0.299 0.832 0.047
Si 0.300 0.162 0.550
Si 0.700 0.838 0.450
Si 0.701 0.168 0.953
Si 0.799 0.332 0.547
Si 0.800 0.662 0.050
O 0.068 0.245 0.605
O 0.068 0.759 0.110
O 0.161 0.491 0.388
O 0.173 0.510 0.889
O 0.221 0.820 0.864
O 0.235 0.179 0.366
O 0.264 0.321 0.134
O 0.279 0.680 0.636
O 0.327 0.990 0.611
O 0.338 0.010 0.112
O 0.432 0.254 0.895
O 0.432 0.742 0.390
O 0.568 0.258 0.610
O 0.568 0.746 0.105
O 0.662 0.990 0.888
O 0.673 0.010 0.389
O 0.721 0.320 0.364
O 0.736 0.679 0.866
O 0.765 0.821 0.634
O 0.779 0.180 0.136
O 0.827 0.490 0.111
O 0.839 0.509 0.612
O 0.932 0.241 0.890
O 0.932 0.755 0.395

For the size of the total moment, the calculation gives 1.0 μB/f.u.


Q | # VSi2O6

An optimized crystal structure of VSi2O6 (GGA+U, the Materials Project).

Unit cell a=5.328 b=17.993 c=8.820 alpha=90.00 beta=90.00 gamma=90.00
Fractional coordinates of all 72 atoms:
V 0.121 0.126 0.146
V 0.121 0.374 0.646
V 0.379 0.626 0.146
V 0.379 0.874 0.646
V 0.621 0.126 0.354
V 0.621 0.374 0.854
V 0.879 0.626 0.354
V 0.879 0.874 0.854
Si 0.051 0.724 0.665
Si 0.051 0.776 0.165
Si 0.197 0.025 0.833
Si 0.197 0.475 0.333
Si 0.303 0.525 0.833
Si 0.303 0.975 0.333
Si 0.449 0.224 0.665
Si 0.449 0.276 0.165
Si 0.551 0.724 0.835
Si 0.551 0.776 0.335
Si 0.697 0.025 0.667
Si 0.697 0.475 0.167
Si 0.803 0.525 0.667
Si 0.803 0.975 0.167
Si 0.949 0.224 0.835
Si 0.949 0.276 0.335
O 0.006 0.694 0.494
O 0.006 0.806 0.994
O 0.064 0.684 0.181
O 0.064 0.816 0.681
O 0.070 0.555 0.731
O 0.070 0.945 0.231
O 0.182 0.195 0.731
O 0.182 0.305 0.231
O 0.193 0.567 0.316
O 0.193 0.933 0.816
O 0.230 0.058 0.004
O 0.230 0.442 0.504
O 0.270 0.558 0.004
O 0.270 0.942 0.504
O 0.307 0.067 0.316
O 0.307 0.433 0.816
O 0.318 0.695 0.731
O 0.318 0.805 0.231
O 0.430 0.055 0.731
O 0.430 0.445 0.231
O 0.436 0.184 0.181
O 0.436 0.316 0.681
O 0.494 0.194 0.494
O 0.494 0.306 0.994
O 0.506 0.694 0.006
O 0.506 0.806 0.506
O 0.564 0.684 0.319
O 0.564 0.816 0.819
O 0.570 0.555 0.769
O 0.570 0.945 0.269
O 0.682 0.195 0.769
O 0.682 0.305 0.269
O 0.693 0.567 0.184
O 0.693 0.933 0.684
O 0.730 0.058 0.496
O 0.730 0.442 0.996
O 0.770 0.558 0.496
O 0.770 0.942 0.996
O 0.807 0.067 0.184
O 0.807 0.433 0.684
O 0.818 0.695 0.769
O 0.818 0.805 0.269
O 0.930 0.055 0.769
O 0.930 0.445 0.269
O 0.936 0.184 0.319
O 0.936 0.316 0.819
O 0.994 0.194 0.006
O 0.994 0.306 0.506

For the size of the total moment, the calculation gives 1.0 μB/f.u.


Relative calculated energies, zero for the most stable structure, unit meV per atom: P 0; Q 7.


P | # VSi2O6

An optimized crystal structure of VSi2O6 (GGA+U, the Materials Project).

Unit cell a=6.499 b=7.339 c=9.427 alpha=101.46 beta=101.65 gamma=95.96
Fractional coordinates of all 36 atoms:
V 0.102 0.072 0.673
V 0.898 0.425 0.822
V 0.102 0.572 0.173
V 0.899 0.925 0.323
O 0.184 0.340 0.793
O 0.816 0.157 0.702
O 0.621 0.440 0.834
O 0.046 0.158 0.473
O 0.365 0.195 0.341
O 0.954 0.339 0.023
O 0.352 0.950 0.085
O 0.816 0.657 0.202
O 0.954 0.839 0.523
O 0.379 0.557 0.162
O 0.184 0.840 0.293
O 0.895 0.049 0.169
O 0.365 0.695 0.841
O 0.106 0.948 0.827
O 0.106 0.448 0.327
O 0.635 0.803 0.654
O 0.648 0.547 0.410
O 0.353 0.450 0.586
O 0.635 0.303 0.154
O 0.621 0.940 0.334
O 0.648 0.047 0.910
O 0.046 0.658 0.973
O 0.895 0.549 0.669
O 0.379 0.057 0.662
Si 0.215 0.316 0.430
Si 0.785 0.682 0.566
Si 0.215 0.816 0.930
Si 0.383 0.981 0.264
Si 0.617 0.516 0.231
Si 0.383 0.481 0.764
Si 0.617 0.016 0.731
Si 0.785 0.182 0.066

For the size of the total moment, the calculation gives 1.0 μB/f.u.


Q | # VSi2O6

An optimized crystal structure of VSi2O6 (GGA+U, the Materials Project).

Unit cell a=7.060 b=7.299 c=14.081 alpha=95.95 beta=86.57 gamma=76.64
Fractional coordinates of all 54 atoms:
O 0.119 0.277 0.548
O 0.152 0.590 0.080
O 0.652 0.591 0.580
O 0.348 0.409 0.420
O 0.665 0.844 0.869
O 0.012 0.215 0.040
O 0.482 0.322 0.725
O 0.226 0.444 0.888
O 0.274 0.556 0.612
O 0.774 0.556 0.112
O 0.572 0.953 0.664
O 0.982 0.322 0.225
O 0.488 0.785 0.460
O 0.165 0.844 0.368
O 0.381 0.723 0.952
O 0.101 0.284 0.736
O 0.518 0.678 0.275
O 0.512 0.215 0.540
O 0.018 0.678 0.775
O 0.301 0.053 0.877
O 0.801 0.053 0.377
O 0.199 0.947 0.623
O 0.619 0.277 0.048
O 0.835 0.155 0.632
O 0.899 0.716 0.264
O 0.726 0.444 0.388
O 0.699 0.947 0.123
O 0.848 0.409 0.920
O 0.335 0.156 0.132
O 0.072 0.953 0.164
O 0.428 0.047 0.336
O 0.988 0.785 0.960
O 0.601 0.284 0.236
O 0.928 0.047 0.836
O 0.881 0.723 0.452
O 0.399 0.716 0.764
Si 0.440 0.838 0.865
Si 0.803 0.374 0.030
Si 0.697 0.627 0.470
Si 0.894 0.845 0.858
Si 0.197 0.626 0.970
Si 0.303 0.373 0.530
Si 0.394 0.845 0.358
Si 0.106 0.155 0.142
Si 0.560 0.162 0.135
Si 0.940 0.839 0.365
Si 0.060 0.162 0.635
Si 0.606 0.155 0.642
V 0.926 0.773 0.132
V 0.574 0.227 0.368
V 0.750 0.500 0.250
V 0.250 0.500 0.750
V 0.074 0.227 0.868
V 0.426 0.773 0.632

For the size of the total moment, the calculation gives 0.0 μB/f.u.


Relative calculated energies, zero for the most stable structure, unit meV per atom: P 0; Q 24.